# 1
Entry from the Materials Project: an optimized crystal structure of KAlF4 (PBE).

Space-group type: P4/mmm, No. 123
Calculated total energy, eV per atom: -5.4116
Calculated volume, Å³/atom: 14.16
Energy of formation from the pure elements, eV/atom: -3.634

a = 3.6769 Å, b = 3.6769 Å, c = 6.2834 Å
α = 90.00°, β = 90.00°, γ = 90.00°
With the nearest neighbours (Å) after each atom.
Sites, in units of the cell vectors:
K (0.0000, 0.0000, 0.0000)  8 F 2.93
F (0.5000, 0.5000, 0.2150)  1 Al 1.79
F (0.0000, 0.5000, 0.5000)  2 Al 1.84
F (0.5000, 0.0000, 0.5000)  2 Al 1.84
F (0.5000, 0.5000, 0.7850)  1 Al 1.79
Al (0.5000, 0.5000, 0.5000)  6 F 1.79-1.84

=====

# 2
Entry from the Materials Project: an optimized crystal structure of KAlF4 (PBE).

Space-group type: P2_1/m, No. 11
Calculated total energy, eV per atom: -5.4290
Calculated volume, Å³/atom: 14.30
Energy of formation from the pure elements, eV/atom: -3.651

a = 7.3532 Å, b = 6.5347 Å, c = 7.4687 Å
α = 73.04°, β = 90.00°, γ = 90.00°
With the nearest neighbours (Å) after each atom.
Sites, in units of the cell vectors:
F (0.2500, 0.0504, 0.9688)  2 Al 1.87
F (0.7500, 0.9527, 0.4925)  2 Al 1.87
F (0.7500, 0.9496, 0.0312)  2 Al 1.87
F (0.5350, 0.2822, 0.4246)  1 Al 1.78
F (0.5371, 0.2813, 0.9318)  1 Al 1.78
F (0.4629, 0.7187, 0.0682)  1 Al 1.78
F (0.5200, 0.0023, 0.7493)  2 Al 1.87
F (0.9650, 0.2822, 0.4246)  1 Al 1.78
F (0.9800, 0.0023, 0.7493)  2 Al 1.87
F (0.9629, 0.2813, 0.9318)  1 Al 1.78
F (0.4650, 0.7178, 0.5754)  1 Al 1.78
F (0.4800, 0.9977, 0.2507)  2 Al 1.87
F (0.0371, 0.7187, 0.0682)  1 Al 1.78
F (0.0350, 0.7178, 0.5754)  1 Al 1.78
F (0.0200, 0.9977, 0.2507)  2 Al 1.87
F (0.2500, 0.0473, 0.5075)  2 Al 1.87
K (0.7500, 0.4528, 0.6340)  6 F 2.67-2.68
K (0.2500, 0.5472, 0.3660)  6 F 2.67-2.68
K (0.7500, 0.4588, 0.1329)  6 F 2.66-2.67
K (0.2500, 0.5412, 0.8671)  6 F 2.66-2.67
Al (0.0000, 0.0000, 0.5000)  6 F 1.78-1.87
Al (0.5000, 0.0000, 0.5000)  6 F 1.78-1.87
Al (0.0000, 0.0000, 0.0000)  6 F 1.78-1.87
Al (0.5000, 0.0000, 0.0000)  6 F 1.78-1.87

=====

Copy entry 2 word for word.
Entry from the Materials Project: an optimized crystal structure of KAlF4 (PBE).

Space-group type: P2_1/m, No. 11
Calculated total energy, eV per atom: -5.4290
Calculated volume, Å³/atom: 14.30
Energy of formation from the pure elements, eV/atom: -3.651

a = 7.3532 Å, b = 6.5347 Å, c = 7.4687 Å
α = 73.04°, β = 90.00°, γ = 90.00°
With the nearest neighbours (Å) after each atom.
Sites, in units of the cell vectors:
F (0.2500, 0.0504, 0.9688)  2 Al 1.87
F (0.7500, 0.9527, 0.4925)  2 Al 1.87
F (0.7500, 0.9496, 0.0312)  2 Al 1.87
F (0.5350, 0.2822, 0.4246)  1 Al 1.78
F (0.5371, 0.2813, 0.9318)  1 Al 1.78
F (0.4629, 0.7187, 0.0682)  1 Al 1.78
F (0.5200, 0.0023, 0.7493)  2 Al 1.87
F (0.9650, 0.2822, 0.4246)  1 Al 1.78
F (0.9800, 0.0023, 0.7493)  2 Al 1.87
F (0.9629, 0.2813, 0.9318)  1 Al 1.78
F (0.4650, 0.7178, 0.5754)  1 Al 1.78
F (0.4800, 0.9977, 0.2507)  2 Al 1.87
F (0.0371, 0.7187, 0.0682)  1 Al 1.78
F (0.0350, 0.7178, 0.5754)  1 Al 1.78
F (0.0200, 0.9977, 0.2507)  2 Al 1.87
F (0.2500, 0.0473, 0.5075)  2 Al 1.87
K (0.7500, 0.4528, 0.6340)  6 F 2.67-2.68
K (0.2500, 0.5472, 0.3660)  6 F 2.67-2.68
K (0.7500, 0.4588, 0.1329)  6 F 2.66-2.67
K (0.2500, 0.5412, 0.8671)  6 F 2.66-2.67
Al (0.0000, 0.0000, 0.5000)  6 F 1.78-1.87
Al (0.5000, 0.0000, 0.5000)  6 F 1.78-1.87
Al (0.0000, 0.0000, 0.0000)  6 F 1.78-1.87
Al (0.5000, 0.0000, 0.0000)  6 F 1.78-1.87